# Sc2CoSi2, optimized geometry, DFT PBE
data_Sc2CoSi2
_chemical_formula_sum 'Sc4 Co2 Si4'
_cell_length_a 5.317
_cell_length_b 5.317
_cell_length_c 9.432
_cell_angle_alpha 63.47
_cell_angle_beta 63.47
_cell_angle_gamma 43.66
_symmetry_space_group_name_H-M 'P 1'
_symmetry_Int_Tables_number 1
loop_
_symmetry_equiv_pos_as_xyz
'x,y,z'
loop_
_atom_site_label
_atom_site_fract_x
_atom_site_fract_y
_atom_site_fract_z
_atom_site_occupancy
Sc1 0.316 0.316 0.105 1
Sc2 0.500 0.500 0.672 1
Sc3 0.684 0.684 0.895 1
Sc4 0.500 0.500 0.328 1
Co1 0.775 0.775 0.374 1
Co2 0.225 0.225 0.626 1
Si1 0.988 0.988 0.875 1
Si2 0.145 0.145 0.431 1
Si3 0.012 0.012 0.125 1
Si4 0.855 0.855 0.569 1
# Space group: C2/m
# Density: 4.2 g/cm3
# E: -6.967 eV/atom
# ΔH_f (0 K): -813 meV per atom